Entry 1:
The following is a DFT calculation (PBE-GGA) of crystalline Ag6GeS4Br2 at its relaxed geometry.

```
data_Ag6GeS4Br2
_cell_length_a 6.608
_cell_length_b 7.832
_cell_length_c 23.409
_cell_angle_alpha 90.00
_cell_angle_beta 90.00
_cell_angle_gamma 90.00
_space_group_name_H-M_alt 'P n m a'
_space_group_IT_number 62
loop_
_space_group_symop_operation_xyz
'x,y,z'
'-x,-y,-z'
'-x+1/2,-y,z+1/2'
'x+1/2,y,-z+1/2'
'x+1/2,-y+1/2,-z+1/2'
'-x+1/2,y+1/2,z+1/2'
'-x,y+1/2,-z'
'x,-y+1/2,z'
loop_
_atom_site_label
_atom_site_type_symbol
_atom_site_fract_x
_atom_site_fract_y
_atom_site_fract_z
Ag1 Ag 0.000 0.000 0.000
Ag2 Ag 0.002 0.065 0.428
Ag3 Ag 0.031 0.750 0.144
Ag4 Ag 0.096 0.044 0.281
Ge1 Ge 0.004 0.250 0.131
S1 S 0.187 0.512 0.872
S2 S 0.188 0.250 0.048
S3 S 0.216 0.250 0.205
Br1 Br 0.134 0.250 0.709
Br2 Br 0.170 0.250 0.541
```

DFT formation energy: -463 meV/atom
E: -0.25092 Ry/atom



Entry 2:
The following is a DFT calculation (PBE-GGA) of crystalline AgH3BrN at its relaxed geometry.

```
data_AgH3BrN
_cell_length_a 4.375
_cell_length_b 6.129
_cell_length_c 6.927
_cell_angle_alpha 90.00
_cell_angle_beta 97.75
_cell_angle_gamma 90.00
_space_group_name_H-M_alt 'P 1 21/m 1'
_space_group_IT_number 11
loop_
_space_group_symop_operation_xyz
'x,y,z'
'-x,-y,-z'
'-x,y+1/2,-z'
'x,-y+1/2,z'
loop_
_atom_site_label
_atom_site_type_symbol
_atom_site_fract_x
_atom_site_fract_y
_atom_site_fract_z
Ag1 Ag 0.173 0.250 0.032
H1 H 0.133 0.250 0.425
H2 H 0.169 0.615 0.688
Br1 Br 0.482 0.750 0.234
N1 N 0.031 0.750 0.695
```

DFT formation energy: -442 meV/atom
E: -0.30962 Ry/atom



Entry 3:
The following is a DFT calculation (PBE-GGA) of crystalline AgH28S8Br2N9O12 at its relaxed geometry.

```
data_AgH28S8Br2N9O12
_cell_length_a 13.494
_cell_length_b 13.494
_cell_length_c 16.740
_cell_angle_alpha 90.00
_cell_angle_beta 90.00
_cell_angle_gamma 90.00
_space_group_name_H-M_alt 'I -4 2 d'
_space_group_IT_number 122
_space_group_name_Hall 'I -4 2bw'
loop_
_atom_site_label
_atom_site_type_symbol
_atom_site_fract_x
_atom_site_fract_y
_atom_site_fract_z
Ag1 Ag 0.000 0.000 0.000
H1 H 0.001 0.562 0.786
H2 H 0.005 0.738 0.074
H3 H 0.094 0.689 0.133
H4 H 0.137 0.733 0.794
H5 H 0.163 0.240 0.533
H6 H 0.185 0.716 0.703
H7 H 0.211 0.246 0.233
S1 S 0.027 0.246 0.906
S2 S 0.080 0.640 0.316
Br1 Br 0.004 0.250 0.625
N1 N 0.000 0.000 0.258
N2 N 0.000 0.000 0.500
N3 N 0.048 0.750 0.125
N4 N 0.203 0.725 0.762
O1 O 0.029 0.686 0.853
O2 O 0.058 0.210 0.268
O3 O 0.111 0.200 0.864
```

DFT formation energy: -597 meV/atom
E: -0.36278 Ry/atom